[1]
A relaxed structure of Rb4NpS2ClO10, computed with PBE.

Cell: 10.744 4.668 16.380 Å, 90.00 116.95 90.00°
Element x y z (fractional)
Rb (0.065, 0.229, 0.129)
Rb (0.065, 0.771, 0.629)
Rb (0.335, 0.235, 0.894)
Rb (0.335, 0.765, 0.394)
Rb (0.665, 0.235, 0.606)
Rb (0.665, 0.765, 0.106)
Rb (0.935, 0.229, 0.371)
Rb (0.935, 0.771, 0.871)
Np (0.500, 0.262, 0.250)
Np (0.500, 0.738, 0.750)
S (0.301, 0.344, 0.574)
S (0.301, 0.656, 0.074)
S (0.699, 0.344, 0.926)
S (0.699, 0.656, 0.426)
Cl (0.000, 0.268, 0.750)
Cl (0.000, 0.732, 0.250)
O (0.161, 0.255, 0.560)
O (0.161, 0.745, 0.060)
O (0.316, 0.335, 0.087)
O (0.316, 0.665, 0.587)
O (0.330, 0.258, 0.498)
O (0.330, 0.742, 0.998)
O (0.358, 0.262, 0.284)
O (0.358, 0.738, 0.784)
O (0.414, 0.228, 0.664)
O (0.414, 0.772, 0.164)
O (0.586, 0.228, 0.836)
O (0.586, 0.772, 0.336)
O (0.642, 0.262, 0.216)
O (0.642, 0.738, 0.716)
O (0.670, 0.258, 0.002)
O (0.670, 0.742, 0.502)
O (0.684, 0.335, 0.413)
O (0.684, 0.665, 0.913)
O (0.839, 0.255, 0.940)
O (0.839, 0.745, 0.440)

Properties
energy: -6.305 eV/atom
DFT formation energy: -2.438 eV per atom
corrected total energy (MP2020 scheme): -240.72 eV/cell



[2]
A relaxed structure of Sm4Cu5P7, computed with PBE.

Cell: 10.552 10.552 10.552 Å, 150.59 150.59 42.08°
Element x y z (fractional)
Sm (0.125, 0.643, 0.000)
Sm (0.357, 0.357, 0.482)
Sm (0.643, 0.125, 0.000)
Sm (0.875, 0.875, 0.518)
Cu (0.250, 0.250, 0.000)
Cu (0.250, 0.750, 0.500)
Cu (0.500, 0.500, 0.000)
Cu (0.750, 0.250, 0.500)
Cu (0.750, 0.750, 0.000)
P (0.000, 0.000, 0.000)
P (0.000, 0.500, 0.500)
P (0.078, 0.078, 0.507)
P (0.429, 0.922, 0.000)
P (0.500, 0.000, 0.500)
P (0.571, 0.571, 0.493)
P (0.922, 0.429, 0.000)

Properties
energy: -5.623 eV/atom
DFT formation energy: -0.794 eV per atom



[3]
A relaxed structure of Pr3Si2ClO8, computed with PBE.

Cell: 7.905 7.905 8.874 Å, 97.41 97.41 48.55°
Element x y z (fractional)
Pr (0.074, 0.926, 0.750)
Pr (0.210, 0.420, 0.329)
Pr (0.420, 0.210, 0.829)
Pr (0.580, 0.790, 0.171)
Pr (0.790, 0.580, 0.671)
Pr (0.926, 0.074, 0.250)
Si (0.103, 0.212, 0.025)
Si (0.212, 0.103, 0.525)
Si (0.788, 0.897, 0.475)
Si (0.897, 0.788, 0.975)
Cl (0.476, 0.524, 0.250)
Cl (0.524, 0.476, 0.750)
O (0.041, 0.268, 0.845)
O (0.049, 0.796, 0.468)
O (0.096, 0.619, 0.856)
O (0.204, 0.317, 0.581)
O (0.204, 0.951, 0.032)
O (0.268, 0.041, 0.345)
O (0.317, 0.204, 0.081)
O (0.381, 0.904, 0.644)
O (0.619, 0.096, 0.356)
O (0.683, 0.796, 0.919)
O (0.732, 0.959, 0.655)
O (0.796, 0.049, 0.968)
O (0.796, 0.683, 0.419)
O (0.904, 0.381, 0.144)
O (0.951, 0.204, 0.532)
O (0.959, 0.732, 0.155)

Properties
energy: -7.904 eV/atom
DFT formation energy: -3.538 eV per atom
corrected total energy (MP2020 scheme): -232.32 eV/cell



[4]
A relaxed structure of Mg14CrBi, computed with PBE.

Cell: 10.390 6.374 6.374 Å, 59.90 90.00 90.00°
Element x y z (fractional)
Mg (0.000, 0.000, 0.000)
Mg (0.000, 0.000, 0.500)
Mg (0.000, 0.500, 0.000)
Mg (0.000, 0.500, 0.500)
Mg (0.246, 0.169, 0.169)
Mg (0.249, 0.172, 0.661)
Mg (0.249, 0.661, 0.172)
Mg (0.252, 0.665, 0.665)
Mg (0.500, 0.500, 0.998)
Mg (0.500, 0.998, 0.500)
Mg (0.748, 0.665, 0.665)
Mg (0.751, 0.172, 0.661)
Mg (0.751, 0.661, 0.172)
Mg (0.754, 0.169, 0.169)
Cr (0.500, 0.500, 0.500)
Bi (0.500, 0.001, 0.001)

Properties
energy: -2.198 eV/atom
DFT formation energy: 0.048 eV per atom



[5]
A relaxed structure of ZrGeO2, computed with PBE.

Cell: 7.133 7.133 7.133 Å, 126.13 126.13 79.67°
Element x y z (fractional)
Zr (0.000, 0.000, 0.000)
Zr (0.000, 0.000, 0.500)
Zr (0.000, 0.500, 0.000)
Zr (0.500, 0.000, 0.500)
Ge (0.000, 0.500, 0.500)
Ge (0.500, 0.000, 0.000)
Ge (0.500, 0.500, 0.000)
Ge (0.500, 0.500, 0.500)
O (0.178, 0.201, 0.977)
O (0.201, 0.178, 0.477)
O (0.201, 0.724, 0.023)
O (0.276, 0.799, 0.477)
O (0.724, 0.201, 0.523)
O (0.799, 0.276, 0.977)
O (0.799, 0.822, 0.523)
O (0.822, 0.799, 0.023)

Properties
energy: -7.408 eV/atom
DFT formation energy: -1.985 eV per atom
corrected total energy (MP2020 scheme): -124.03 eV/cell



[6]
A relaxed structure of Er2TeO6, computed with PBE.

Cell: 5.282 9.074 9.959 Å, 90.00 90.00 90.00°
Element x y z (fractional)
Er (0.025, 0.103, 0.461)
Er (0.036, 0.218, 0.865)
Er (0.464, 0.782, 0.365)
Er (0.475, 0.897, 0.961)
Er (0.525, 0.397, 0.539)
Er (0.536, 0.282, 0.135)
Er (0.964, 0.718, 0.635)
Er (0.975, 0.603, 0.039)
Te (0.041, 0.495, 0.353)
Te (0.459, 0.505, 0.853)
Te (0.541, 0.005, 0.647)
Te (0.959, 0.995, 0.147)
O (0.082, 0.844, 0.025)
O (0.176, 0.951, 0.297)
O (0.180, 0.643, 0.821)
O (0.188, 0.642, 0.237)
O (0.229, 0.116, 0.064)
O (0.248, 0.413, 0.995)
O (0.252, 0.587, 0.495)
O (0.271, 0.884, 0.564)
O (0.312, 0.358, 0.737)
O (0.320, 0.357, 0.321)
O (0.324, 0.049, 0.797)
O (0.418, 0.156, 0.525)
O (0.582, 0.656, 0.975)
O (0.676, 0.549, 0.703)
O (0.680, 0.857, 0.179)
O (0.688, 0.858, 0.763)
O (0.729, 0.384, 0.936)
O (0.748, 0.087, 0.005)
O (0.752, 0.913, 0.505)
O (0.771, 0.616, 0.436)
O (0.812, 0.142, 0.263)
O (0.820, 0.143, 0.679)
O (0.824, 0.451, 0.203)
O (0.918, 0.344, 0.475)

Properties
energy: -7.243 eV/atom
DFT formation energy: -3.038 eV per atom
corrected total energy (MP2020 scheme): -277.23 eV/cell
largest piezoelectric modulus: 0.36 C/m²



[7]
A relaxed structure of Sc5Sb3, computed with PBE.

Cell: 11.184 8.775 7.661 Å, 90.00 90.00 90.00°
Element x y z (fractional)
Sc (0.005, 0.250, 0.027)
Sc (0.063, 0.061, 0.696)
Sc (0.063, 0.439, 0.696)
Sc (0.216, 0.750, 0.341)
Sc (0.227, 0.250, 0.327)
Sc (0.273, 0.750, 0.827)
Sc (0.284, 0.250, 0.841)
Sc (0.437, 0.561, 0.196)
Sc (0.437, 0.939, 0.196)
Sc (0.495, 0.750, 0.527)
Sc (0.505, 0.250, 0.473)
Sc (0.563, 0.061, 0.804)
Sc (0.563, 0.439, 0.804)
Sc (0.716, 0.750, 0.159)
Sc (0.727, 0.250, 0.173)
Sc (0.773, 0.750, 0.673)
Sc (0.784, 0.250, 0.659)
Sc (0.937, 0.561, 0.304)
Sc (0.937, 0.939, 0.304)
Sc (0.995, 0.750, 0.973)
Sb (0.027, 0.750, 0.592)
Sb (0.175, 0.510, 0.065)
Sb (0.175, 0.990, 0.065)
Sb (0.325, 0.010, 0.565)
Sb (0.325, 0.490, 0.565)
Sb (0.473, 0.250, 0.092)
Sb (0.527, 0.750, 0.908)
Sb (0.675, 0.510, 0.435)
Sb (0.675, 0.990, 0.435)
Sb (0.825, 0.010, 0.935)
Sb (0.825, 0.490, 0.935)
Sb (0.973, 0.250, 0.408)

Properties
energy: -6.363 eV/atom
DFT formation energy: -0.929 eV per atom
corrected total energy (MP2020 scheme): -205.92 eV/cell



[8]
A relaxed structure of MgSO4, computed with PBE.

Cell: 8.678 6.793 4.820 Å, 90.00 90.00 90.00°
Element x y z (fractional)
Mg (0.000, 0.000, 0.000)
Mg (0.000, 0.500, 0.000)
Mg (0.500, 0.000, 0.500)
Mg (0.500, 0.500, 0.500)
S (0.178, 0.250, 0.474)
S (0.322, 0.750, 0.974)
S (0.678, 0.250, 0.026)
S (0.822, 0.750, 0.526)
O (0.123, 0.250, 0.768)
O (0.125, 0.070, 0.334)
O (0.125, 0.430, 0.334)
O (0.148, 0.750, 0.963)
O (0.352, 0.250, 0.463)
O (0.375, 0.570, 0.834)
O (0.375, 0.930, 0.834)
O (0.377, 0.750, 0.268)
O (0.623, 0.250, 0.732)
O (0.625, 0.070, 0.166)
O (0.625, 0.430, 0.166)
O (0.648, 0.750, 0.537)
O (0.852, 0.250, 0.037)
O (0.875, 0.570, 0.666)
O (0.875, 0.930, 0.666)
O (0.877, 0.750, 0.232)

Properties
energy: -6.203 eV/atom
DFT formation energy: -2.406 eV per atom
corrected total energy (MP2020 scheme): -159.87 eV/cell



[9]
A relaxed structure of Li2B2Rh3, computed with PBE.

Cell: 5.807 9.577 2.852 Å, 90.00 90.00 90.00°
Element x y z (fractional)
Li (0.159, 0.074, 0.000)
Li (0.341, 0.574, 0.000)
Li (0.659, 0.426, 0.000)
Li (0.841, 0.926, 0.000)
B (0.063, 0.331, 0.000)
B (0.437, 0.831, 0.000)
B (0.563, 0.169, 0.000)
B (0.937, 0.669, 0.000)
Rh (0.000, 0.500, 0.500)
Rh (0.166, 0.780, 0.500)
Rh (0.334, 0.280, 0.500)
Rh (0.500, 0.000, 0.500)
Rh (0.666, 0.720, 0.500)
Rh (0.834, 0.220, 0.500)

Properties
energy: -6.099 eV/atom
DFT formation energy: -0.489 eV per atom



[10]
A relaxed structure of Bi3Au, computed with PBE.

Cell: 6.043 6.043 6.043 Å, 133.68 133.68 67.59°
Element x y z (fractional)
Bi (0.000, 0.000, 0.000)
Bi (0.250, 0.750, 0.500)
Bi (0.750, 0.250, 0.500)
Au (0.500, 0.500, 0.000)

Properties
energy: -3.586 eV/atom
DFT formation energy: 0.150 eV per atom



[11]
A relaxed structure of NaY3MgS6O24, computed with PBE.

Cell: 9.055 9.055 23.924 Å, 90.00 90.00 120.00°
Element x y z (fractional)
Na (0.000, 0.000, 0.000)
Na (0.000, 0.000, 0.494)
Na (0.333, 0.667, 0.155)
Y (0.000, 0.000, 0.346)
Y (0.000, 0.000, 0.641)
Y (0.000, 0.000, 0.848)
Y (0.333, 0.667, 0.308)
Y (0.333, 0.667, 0.808)
Y (0.667, 0.333, 0.179)
Y (0.667, 0.333, 0.473)
Y (0.667, 0.333, 0.678)
Y (0.667, 0.333, 0.976)
Mg (0.000, 0.000, 0.143)
Mg (0.333, 0.667, 0.012)
Mg (0.333, 0.667, 0.515)
S (0.003, 0.715, 0.241)
S (0.049, 0.669, 0.914)
S (0.050, 0.379, 0.414)
S (0.285, 0.288, 0.241)
S (0.293, 0.001, 0.744)
S (0.329, 0.950, 0.414)
S (0.331, 0.380, 0.914)
S (0.363, 0.029, 0.077)
S (0.372, 0.341, 0.575)
S (0.620, 0.951, 0.914)
S (0.621, 0.671, 0.414)
S (0.659, 0.031, 0.575)
S (0.667, 0.637, 0.077)
S (0.708, 0.707, 0.744)
S (0.712, 0.997, 0.241)
S (0.969, 0.628, 0.575)
S (0.971, 0.333, 0.077)
S (0.999, 0.292, 0.744)
O (0.026, 0.212, 0.694)
O (0.026, 0.823, 0.192)
O (0.029, 0.824, 0.909)
O (0.030, 0.205, 0.408)
O (0.123, 0.648, 0.862)
O (0.125, 0.475, 0.361)
O (0.136, 0.644, 0.566)
O (0.140, 0.488, 0.070)
O (0.151, 0.461, 0.751)
O (0.157, 0.463, 0.463)
O (0.157, 0.693, 0.963)
O (0.157, 0.696, 0.246)
O (0.175, 0.970, 0.408)
O (0.176, 0.206, 0.909)
O (0.177, 0.203, 0.192)
O (0.186, 0.974, 0.694)
O (0.193, 0.015, 0.085)
O (0.200, 0.184, 0.581)
O (0.210, 0.191, 0.293)
O (0.212, 0.027, 0.794)
O (0.304, 0.462, 0.246)
O (0.306, 0.843, 0.463)
O (0.307, 0.464, 0.963)
O (0.310, 0.849, 0.751)
O (0.348, 0.860, 0.070)
O (0.351, 0.875, 0.361)
O (0.352, 0.475, 0.862)
O (0.356, 0.491, 0.566)
O (0.445, 0.139, 0.028)
O (0.453, 0.307, 0.526)
O (0.457, 0.308, 0.234)
O (0.462, 0.153, 0.736)
O (0.472, 0.112, 0.127)
O (0.474, 0.361, 0.626)
O (0.480, 0.122, 0.419)
O (0.482, 0.359, 0.920)
O (0.509, 0.864, 0.566)
O (0.512, 0.652, 0.070)
O (0.525, 0.649, 0.361)
O (0.525, 0.877, 0.862)
O (0.536, 0.843, 0.963)
O (0.537, 0.694, 0.463)
O (0.538, 0.843, 0.246)
O (0.539, 0.690, 0.751)
O (0.639, 0.113, 0.626)
O (0.640, 0.528, 0.127)
O (0.641, 0.123, 0.920)
O (0.641, 0.520, 0.419)
O (0.691, 0.538, 0.736)
O (0.692, 0.149, 0.234)
O (0.693, 0.146, 0.526)
O (0.694, 0.555, 0.028)
O (0.788, 0.814, 0.694)
O (0.794, 0.971, 0.909)
O (0.795, 0.825, 0.408)
O (0.797, 0.974, 0.192)
O (0.809, 0.019, 0.293)
O (0.815, 0.788, 0.794)
O (0.816, 0.016, 0.581)
O (0.822, 0.807, 0.085)
O (0.847, 0.309, 0.736)
O (0.851, 0.543, 0.234)
O (0.854, 0.547, 0.526)
O (0.861, 0.306, 0.028)
O (0.877, 0.518, 0.920)
O (0.878, 0.359, 0.419)
O (0.887, 0.526, 0.626)
O (0.888, 0.360, 0.127)
O (0.973, 0.185, 0.794)
O (0.981, 0.790, 0.293)
O (0.984, 0.800, 0.581)
O (0.985, 0.178, 0.085)

Properties
energy: -6.828 eV/atom
DFT formation energy: -2.560 eV per atom
corrected total energy (MP2020 scheme): -766.44 eV/cell